(1)
TbMgCo4 after structural relaxation, computed with GGA-PBE.

Structure (POSCAR):
```
TbMgCo4
1.0
0.000 3.513 3.513
3.513 0.000 3.513
3.513 3.513 0.000
Tb Mg Co
1 1 4
Direct
0.000 0.000 0.000
0.250 0.250 0.250
0.127 0.624 0.624
0.624 0.127 0.624
0.624 0.624 0.127
0.624 0.624 0.624
```

## Properties
Its space group is F-43m.



(2)
Mg6VCo after structural relaxation, computed with GGA-PBE.

Structure (POSCAR):
```
Mg6VCo
1.0
-1.885 4.268 1.344
1.570 -1.052 5.544
9.469 4.743 -1.781
Mg V Co
12 2 2
Direct
0.500 0.251 0.421
0.500 0.749 0.421
0.000 0.753 0.085
0.000 0.247 0.085
0.000 0.000 0.318
0.000 0.500 0.324
0.500 0.751 0.921
0.500 0.249 0.921
0.000 0.253 0.585
0.000 0.747 0.585
0.000 0.500 0.818
0.000 0.000 0.824
0.500 0.500 0.173
0.500 0.000 0.673
0.500 0.000 0.172
0.500 0.500 0.672
```

## Properties
For the total magnetization, the calculation gives 6.4 Bohr magnetons per cell. The energy above the most stable polymorph in this dataset is 0.64 kcal/mol of atoms.



(3)
Mg6VCo after structural relaxation, computed with GGA-PBE.

Structure (POSCAR):
```
Mg6VCo
1.0
4.598 0.000 0.000
0.000 5.900 0.000
0.000 0.000 10.905
Mg V Co
12 2 2
Direct
0.000 0.737 0.085
0.000 0.263 0.085
0.000 0.000 0.328
0.500 0.261 0.419
0.500 0.739 0.419
0.500 0.000 0.168
0.000 0.237 0.585
0.000 0.763 0.585
0.000 0.500 0.828
0.500 0.761 0.919
0.500 0.239 0.919
0.500 0.500 0.668
0.500 0.500 0.196
0.500 0.000 0.696
0.000 0.500 0.299
0.000 0.000 0.799
```

## Properties
For the total magnetization, the calculation gives 0.0 Bohr magnetons per cell. The energy above the most stable polymorph in this dataset is 0.00 kcal/mol of atoms.



(4)
YMg6Co after structural relaxation, computed with GGA-PBE.

Structure (POSCAR):
```
YMg6Co
1.0
-1.082 4.758 0.039
-0.544 -0.175 6.200
11.031 2.501 1.039
Y Mg Co
2 12 2
Direct
0.000 0.500 0.308
0.000 0.000 0.808
0.000 0.257 0.075
0.000 0.743 0.075
0.000 0.000 0.338
0.500 0.754 0.431
0.500 0.246 0.431
0.500 0.000 0.177
0.000 0.757 0.575
0.000 0.243 0.575
0.000 0.500 0.838
0.500 0.254 0.931
0.500 0.746 0.931
0.500 0.500 0.677
0.500 0.500 0.165
0.500 0.000 0.665
```

## Properties
For the total magnetization, the calculation gives 0.1 Bohr magnetons per cell. The energy above the most stable polymorph in this dataset is 0.09 kcal/mol of atoms.



(5)
YMg6Co after structural relaxation, computed with GGA-PBE.

Structure (POSCAR):
```
YMg6Co
1.0
4.958 0.000 0.000
0.000 5.887 0.000
0.000 0.000 11.989
Y Mg Co
2 12 2
Direct
0.500 0.000 0.186
0.500 0.500 0.686
0.500 0.247 0.436
0.500 0.753 0.436
0.000 0.742 0.079
0.000 0.258 0.079
0.000 0.000 0.345
0.000 0.500 0.296
0.500 0.747 0.936
0.500 0.253 0.936
0.000 0.242 0.579
0.000 0.758 0.579
0.000 0.500 0.845
0.000 0.000 0.796
0.500 0.500 0.142
0.500 0.000 0.642
```

## Properties
For the total magnetization, the calculation gives 0.0 Bohr magnetons per cell. The energy above the most stable polymorph in this dataset is 0.00 kcal/mol of atoms.



(6)
Mg6ZnCo after structural relaxation, computed with GGA-PBE.

Structure (POSCAR):
```
Mg6ZnCo
1.0
-1.050 4.640 0.288
-5.616 -1.382 1.794
3.129 0.095 9.866
Mg Zn Co
12 2 2
Direct
0.500 0.251 0.584
0.500 0.749 0.584
0.000 0.241 0.411
0.000 0.759 0.411
0.000 0.000 0.670
0.000 0.000 0.175
0.500 0.751 0.084
0.500 0.249 0.084
0.000 0.741 0.911
0.000 0.259 0.911
0.000 0.500 0.170
0.000 0.500 0.675
0.500 0.000 0.833
0.500 0.500 0.333
0.500 0.000 0.333
0.500 0.500 0.833
```

## Properties
For the total magnetization, the calculation gives 2.2 Bohr magnetons per cell. The energy above the most stable polymorph in this dataset is 0.12 kcal/mol of atoms.



(7)
Mg6ZnCo after structural relaxation, computed with GGA-PBE.

Structure (POSCAR):
```
Mg6ZnCo
1.0
4.817 0.000 0.000
0.000 6.075 0.000
0.000 0.000 10.432
Mg Zn Co
12 2 2
Direct
0.000 0.265 0.092
0.000 0.735 0.092
0.000 0.500 0.834
0.500 0.243 0.912
0.500 0.757 0.912
0.500 0.500 0.666
0.000 0.765 0.592
0.000 0.235 0.592
0.000 0.000 0.334
0.500 0.743 0.412
0.500 0.257 0.412
0.500 0.000 0.166
0.000 0.500 0.325
0.000 0.000 0.825
0.500 0.500 0.166
0.500 0.000 0.666
```

## Properties
For the total magnetization, the calculation gives 2.2 Bohr magnetons per cell. The energy above the most stable polymorph in this dataset is 0.00 kcal/mol of atoms.



(8)
Mg6ZrCo after structural relaxation, computed with GGA-PBE.

Structure (POSCAR):
```
Mg6ZrCo
1.0
-1.661 4.340 1.539
-3.286 0.422 -4.736
-8.520 -5.191 5.449
Mg Zr Co
12 2 2
Direct
0.500 0.748 0.930
0.500 0.252 0.930
0.000 0.246 0.581
0.000 0.754 0.581
0.000 0.500 0.832
0.000 0.000 0.802
0.500 0.248 0.430
0.500 0.752 0.430
0.000 0.746 0.081
0.000 0.254 0.081
0.000 0.000 0.332
0.000 0.500 0.302
0.500 0.500 0.682
0.500 0.000 0.182
0.500 0.000 0.662
0.500 0.500 0.162
```

## Properties
For the total magnetization, the calculation gives 0.0 Bohr magnetons per cell. The energy above the most stable polymorph in this dataset is 0.93 kcal/mol of atoms.



(9)
Mg14ZrCo after structural relaxation, computed with GGA-PBE.

Structure (POSCAR):
```
Mg14ZrCo
1.0
10.025 0.000 0.000
0.000 3.035 5.625
0.000 -3.035 5.625
Mg Zr Co
14 1 1
Direct
0.000 0.000 0.000
0.000 0.003 0.495
0.000 0.495 0.003
0.000 0.496 0.496
0.244 0.660 0.660
0.259 0.160 0.664
0.259 0.664 0.160
0.283 0.143 0.143
0.500 0.004 0.528
0.500 0.528 0.004
0.717 0.143 0.143
0.741 0.160 0.664
0.741 0.664 0.160
0.756 0.660 0.660
0.500 0.514 0.514
0.500 0.989 0.989
```

## Properties
Its space group is Amm2. For the total magnetization, the calculation gives 0.7 Bohr magnetons per cell. The energy above the most stable polymorph in this dataset is 0.00 kcal/mol of atoms.



(10)
Mg6ZrCo after structural relaxation, computed with GGA-PBE.

Structure (POSCAR):
```
Mg6ZrCo
1.0
4.816 0.000 0.000
0.000 6.123 0.000
0.000 0.000 11.092
Mg Zr Co
12 2 2
Direct
0.000 0.259 0.075
0.000 0.741 0.075
0.000 0.000 0.333
0.500 0.744 0.420
0.500 0.256 0.420
0.500 0.000 0.172
0.000 0.759 0.575
0.000 0.241 0.575
0.000 0.500 0.833
0.500 0.244 0.920
0.500 0.756 0.920
0.500 0.500 0.672
0.000 0.500 0.309
0.000 0.000 0.809
0.500 0.500 0.195
0.500 0.000 0.695
```

## Properties
For the total magnetization, the calculation gives 0.0 Bohr magnetons per cell. The energy above the most stable polymorph in this dataset is 0.00 kcal/mol of atoms.



(11)
Mg14ZrCo after structural relaxation, computed with GGA-PBE.

Structure (POSCAR):
```
Mg14ZrCo
1.0
6.303 0.000 0.000
-3.151 5.458 0.000
0.000 0.000 10.028
Mg Zr Co
14 1 1
Direct
0.000 0.000 0.241
0.000 0.000 0.759
0.017 0.509 0.264
0.017 0.509 0.736
0.329 0.164 0.500
0.344 0.172 0.000
0.491 0.509 0.264
0.491 0.509 0.736
0.491 0.983 0.264
0.491 0.983 0.736
0.828 0.172 0.000
0.828 0.656 0.000
0.836 0.164 0.500
0.836 0.671 0.500
0.333 0.667 0.000
0.333 0.667 0.500
```

## Properties
Its space group is P-6m2. For the total magnetization, the calculation gives 0.1 Bohr magnetons per cell. The energy above the most stable polymorph in this dataset is 0.71 kcal/mol of atoms.



(12)
MnCo after structural relaxation, computed with GGA-PBE.

Structure (POSCAR):
```
MnCo
1.0
2.854 0.000 0.000
0.000 2.854 0.000
0.000 0.000 2.854
Mn Co
1 1
Direct
0.000 0.000 0.000
0.500 0.500 0.500
```

## Properties
Its space group is Pm-3m. For the total magnetization, the calculation gives 4.0 Bohr magnetons per cell.



| no. | E_form (eV/atom) |
| --- | --- |
| 1 | -0.14 |
| 2 | 0.27 |
| 3 | 0.24 |
| 4 | 0.11 |
| 5 | 0.11 |
| 6 | 0.10 |
| 7 | 0.10 |
| 8 | 0.15 |
| 9 | 0.07 |
| 10 | 0.11 |
| 11 | 0.10 |
| 12 | -0.03 |